Entry 1:
Crystalline Lu6Al43Mo4 at its relaxed geometry. Source: Materials Project, functional PBE.

Cell: 11.0242 11.0242 17.4855 Å, 90.00 90.00 120.00°
Space group P6_3/mcm (No. 193)
Inequivalent atoms, fractional coordinates:
Lu1 0.0000 0.4685 0.0953 x12
Al1 0.0000 0.1469 0.7500 x6
Al2 0.0000 0.1592 0.1148 x12
Al3 0.0000 0.2548 0.5306 x12
Al4 0.1474 0.5515 0.2500 x12
Al5 0.1580 0.3947 0.6632 x24
Al6 0.2468 0.4936 0.0000 x12
Al7 0.3333 0.6667 0.1260 x8
Mo1 0.0000 0.0000 0.0000 x2
Mo2 0.0000 0.2722 0.2500 x6

Output
- formation enthalpy at 0 K (kcal/mol of atoms) = -6.88

---

Entry 2:
Crystalline Y5Re2O12 at its relaxed geometry. Source: Materials Project, functional PBE.

Cell: 12.487 5.690 7.570 Å, 90.00 107.90 90.00°
Space group C2/m (No. 12)
Inequivalent atoms, fractional coordinates:
Y1 0.000 0.000 0.000 x2
Y2 0.186 0.500 0.325 x4
Y3 0.197 0.500 0.859 x4
Re1 0.000 0.214 0.500 x4
O1 0.001 0.000 0.294 x4
O2 0.001 0.500 0.677 x4
O3 0.154 0.252 0.074 x8
O4 0.165 0.254 0.584 x8

Output
- formation enthalpy at 0 K (kcal/mol of atoms) = -76.76

---

Entry 3:
Crystalline Y3CuGeS7 at its relaxed geometry. Source: Materials Project, functional PBE.

Cell: 9.8924 9.8924 5.8253 Å, 90.00 90.00 120.00°
Space group P6_3 (No. 173)
Inequivalent atoms, fractional coordinates:
Y1 0.1338 0.7763 0.0000 x6
Cu1 0.0000 0.0000 0.4417 x2
Ge1 0.3333 0.6667 0.5812 x2
S1 0.0979 0.5201 0.7426 x6
S2 0.0996 0.8405 0.4640 x6
S3 0.3333 0.6667 0.2023 x2

Output
- formation enthalpy at 0 K (kcal/mol of atoms) = -39.74

---

Entry 4:
Crystalline Mg14GaNi at its relaxed geometry. Source: Materials Project, functional PBE.

Cell: 6.2124 6.2124 10.0458 Å, 90.00 90.00 120.00°
Space group P-6m2 (No. 187)
Inequivalent atoms, fractional coordinates:
Mg1 0.0000 0.0000 0.2503 x2
Mg2 0.0108 0.5054 0.2434 x6
Mg3 0.3303 0.1652 0.0000 x3
Mg4 0.3341 0.1670 0.5000 x3
Ga1 0.3333 0.6667 0.5000 x1
Ni1 0.3333 0.6667 0.0000 x1

Output
- polymorph energy (0 for the lowest one) (eV per atom) = 0.008
- formation enthalpy at 0 K (kcal/mol of atoms) = 0.00

---

Entry 5:
Crystalline Zn2GaCuTe4 at its relaxed geometry. Source: Materials Project, functional PBE.

Cell: 6.138 6.138 12.228 Å, 90.00 90.00 90.00°
Space group I-42m (No. 121)
Inequivalent atoms, fractional coordinates:
Zn1 0.000 0.500 0.250 x4
Ga1 0.000 0.000 0.000 x2
Cu1 0.000 0.000 0.500 x2
Te1 0.244 0.244 0.623 x8

Output
- formation enthalpy at 0 K (kcal/mol of atoms) = -13.51

---

Entry 6:
Crystalline Sr2DySeO6 at its relaxed geometry. Source: Materials Project, functional PBE.

Cell: 8.262 8.262 8.262 Å, 90.00 90.00 90.00°
Space group Fm-3m (No. 225)
Inequivalent atoms, fractional coordinates:
Sr1 0.250 0.250 0.250 x8
Dy1 0.000 0.000 0.000 x4
Se1 0.000 0.000 0.500 x4
O1 0.000 0.000 0.265 x24

Output
- formation enthalpy at 0 K (kcal/mol of atoms) = -61.39

---

Entry 7:
Crystalline KFe2P2 at its relaxed geometry. Source: Materials Project, functional PBE.

Cell: 3.806 3.806 12.598 Å, 90.00 90.00 90.00°
Space group I4/mmm (No. 139)
Inequivalent atoms, fractional coordinates:
K1 0.000 0.000 0.000 x2
Fe1 0.000 0.500 0.250 x4
P1 0.000 0.000 0.336 x4

Output
- formation enthalpy at 0 K (kcal/mol of atoms) = -11.95

---

Entry 8:
Crystalline Zr5Pb3 at its relaxed geometry. Source: Materials Project, functional PBE.

Cell: 8.9922 8.9922 6.2138 Å, 90.00 90.00 120.00°
Space group P6_3/mcm (No. 193)
Inequivalent atoms, fractional coordinates:
Zr1 0.0000 0.2476 0.2500 x6
Zr2 0.3333 0.6667 0.0000 x4
Pb1 0.0000 0.3896 0.7500 x6

Output
- formation enthalpy at 0 K (kcal/mol of atoms) = -3.37

---

Entry 9:
Crystalline ThPbI12 at its relaxed geometry. Source: Materials Project, functional PBE.

Cell: 4.780 9.240 16.132 Å, 90.00 97.11 90.00°
Space group Pm (No. 6)
Inequivalent atoms, fractional coordinates:
Th1 0.000 0.000 0.000 x1
Pb1 0.147 0.500 0.505 x1
I1 0.030 0.302 0.062 x2
I2 0.429 0.500 0.875 x1
I3 0.439 0.175 0.873 x2
I4 0.554 0.000 0.128 x1
I5 0.678 0.500 0.360 x1
I6 0.751 0.320 0.621 x2
I7 0.757 0.000 0.614 x1
I8 0.948 0.151 0.372 x2

Output
- formation enthalpy at 0 K (kcal/mol of atoms) = -18.93

---

Entry 10:
Crystalline SmCdAu at its relaxed geometry. Source: Materials Project, functional PBE.

Cell: 7.9869 7.9869 3.9344 Å, 90.00 90.00 120.00°
Space group P-62m (No. 189)
Inequivalent atoms, fractional coordinates:
Sm1 0.0000 0.5930 0.0000 x3
Cd1 0.0000 0.2607 0.5000 x3
Au1 0.0000 0.0000 0.0000 x1
Au2 0.3333 0.6667 0.5000 x2

Output
- formation enthalpy at 0 K (kcal/mol of atoms) = -15.06

---

Entry 11:
Crystalline AlMo4S8 at its relaxed geometry. Source: Materials Project, functional PBE.

Cell: 11.359 8.329 7.651 Å, 90.00 118.88 90.00°
Space group Cm (No. 8)
Inequivalent atoms, fractional coordinates:
Al1 0.000 0.000 0.000 x2
Mo1 0.078 0.000 0.427 x2
Mo2 0.300 0.249 0.915 x4
Mo3 0.303 0.500 0.158 x2
S1 0.160 0.500 0.267 x2
S2 0.187 0.500 0.805 x2
S3 0.206 0.000 0.270 x2
S4 0.210 0.000 0.768 x2
S5 0.445 0.276 0.261 x4
S6 0.451 0.283 0.801 x4

Output
- polymorph energy (0 for the lowest one) (eV per atom) = 0.605
- formation enthalpy at 0 K (kcal/mol of atoms) = -12.38

---

Entry 12:
Crystalline ZrSn at its relaxed geometry. Source: Materials Project, functional PBE.

Cell: 5.325 12.698 5.596 Å, 90.00 90.00 90.00°
Space group Pmmn (No. 59, origin choice 2)
Inequivalent atoms, fractional coordinates:
Zr1 0.250 0.003 0.157 x4
Zr2 0.250 0.132 0.667 x4
Sn1 0.250 0.250 0.173 x2
Sn2 0.250 0.603 0.669 x4
Sn3 0.250 0.750 0.213 x2

Output
- formation enthalpy at 0 K (kcal/mol of atoms) = -6.01